A plane-wave DFT calculation with PBE was carried out for a geometry-optimized Nd2MgTi2S2O5 structure.

Its energy relative to the elements is -2893 meV/atom. Its relative energy among the computed polymorphs is 1.03 eV per formula unit. For the magnetic moment, the calculation gives 1.3 μB/f.u.

The structure belongs to space group I4/mmm (No. 139); the cell edges are 3.975, 3.975 and 22.684 Å and the angles 90.00°, 90.00° and 90.00°. Symmetry generates all atoms from Nd at (0.000, 0.000, 0.166), Mg at (0.000, 0.000, 0.000), Ti at (0.000, 0.000, 0.416), S at (0.000, 0.000, 0.297), O at (0.000, 0.000, 0.500) and O at (0.000, 0.500, 0.094).